[1]
Material: Pr2Re3B6
Method: DFT, PBE
State: optimized geometry

a b c (Å): 6.3468 6.3468 7.6408
angles (deg): 89.44 89.44 114.85
Closest atoms and distances in Å follow each position.
Fractional positions:
Re: 0.9893 0.8049 0.9126  6 B 2.14-2.31
Re: 0.5838 0.4162 0.7500  8 B 2.26-2.42
Re: 0.4162 0.5838 0.2500  8 B 2.26-2.42
Re: 0.8049 0.9893 0.4126  6 B 2.14-2.31
Re: 0.1951 0.0107 0.5874  6 B 2.14-2.31
Re: 0.0107 0.1951 0.0874  6 B 2.14-2.31
B: 0.4152 0.8417 0.4801  2 B 1.85-1.87
B: 0.5848 0.1583 0.5199  2 B 1.85-1.87
B: 0.2429 0.1528 0.8676  1 B 1.83
B: 0.1583 0.5848 0.0199  2 B 1.85-1.87
B: 0.4404 0.3498 0.4669  3 B 1.81-1.85
B: 0.8472 0.7571 0.6324  1 B 1.83
B: 0.3498 0.4404 0.9669  3 B 1.81-1.85
B: 0.5596 0.6502 0.5331  3 B 1.81-1.85
B: 0.1528 0.2429 0.3676  1 B 1.83
B: 0.7571 0.8472 0.1324  1 B 1.83
B: 0.6502 0.5596 0.0331  3 B 1.81-1.85
B: 0.8417 0.4152 0.9801  2 B 1.85-1.87
Pr: 0.0927 0.4411 0.6738  9 B 2.76-3.03
Pr: 0.4411 0.0927 0.1738  9 B 2.76-3.03
Pr: 0.5589 0.9073 0.8262  9 B 2.76-3.03
Pr: 0.9073 0.5589 0.3262  9 B 2.76-3.03

Properties
Symmetry: No. 15
Final energy, eV/atom: -8.33
Calculated volume, Å³ per atom: 12.7

[2]
Material: SmMn2
Method: DFT, PBE
State: optimized geometry

a b c (Å): 5.3864 5.3864 8.2615
angles (deg): 90.00 90.00 120.00
Closest atoms and distances in Å follow each position.
Fractional positions:
Mn: 0.0000 0.0000 0.5000  6 Mn 2.56
Mn: 0.3248 0.1624 0.2500  6 Mn 2.56-2.76
Mn: 0.1624 0.8376 0.7500  6 Mn 2.56-2.76
Mn: 0.8376 0.6752 0.2500  6 Mn 2.56-2.76
Mn: 0.6752 0.8376 0.7500  6 Mn 2.56-2.76
Mn: 0.8376 0.1624 0.2500  6 Mn 2.56-2.76
Mn: 0.0000 0.0000 0.0000  6 Mn 2.56
Mn: 0.1624 0.3248 0.7500  6 Mn 2.56-2.76
Sm: 0.6667 0.3333 0.5581  12 Mn 3.00-3.15, 4 Sm 3.17-3.25
Sm: 0.6667 0.3333 0.9419  12 Mn 3.00-3.15, 4 Sm 3.17-3.25
Sm: 0.3333 0.6667 0.0581  12 Mn 3.00-3.15, 4 Sm 3.17-3.25
Sm: 0.3333 0.6667 0.4419  12 Mn 3.00-3.15, 4 Sm 3.17-3.25

Properties
Symmetry: No. 194
Final energy, eV/atom: -7.53
Calculated volume, Å³ per atom: 17.3

[3]
Material: LiCuF3
Method: DFT, PBE
State: optimized geometry

a b c (Å): 5.1746 5.2833 7.9188
angles (deg): 88.60 87.06 85.81
Closest atoms and distances in Å follow each position.
Fractional positions:
F: 0.8279 0.8228 0.9113  2 Cu 1.98-1.99, 1 Li 2.01
F: 0.1721 0.1772 0.0887  2 Cu 1.98-1.99, 1 Li 2.01
F: 0.3454 0.6926 0.0618  1 Cu 1.90, 1 Li 1.98
F: 0.3023 0.6578 0.4088  1 Cu 1.93, 1 Li 1.96
F: 0.1397 0.4087 0.7758  1 Cu 1.94, 2 Li 1.97-2.14
F: 0.1648 0.1686 0.4421  2 Cu 1.95-1.96, 1 Li 2.06
F: 0.6977 0.3422 0.5912  1 Cu 1.93, 1 Li 1.96
F: 0.6395 0.0976 0.2775  1 Cu 1.94, 2 Li 2.00-2.04
F: 0.3605 0.9024 0.7225  1 Cu 1.94, 2 Li 2.00-2.04
F: 0.8352 0.8314 0.5579  2 Cu 1.95-1.96, 1 Li 2.06
F: 0.6546 0.3074 0.9382  1 Cu 1.90, 1 Li 1.98
F: 0.8603 0.5913 0.2242  1 Cu 1.94, 2 Li 1.97-2.14
Li: 0.4890 0.5341 0.7656  4 F 1.96-2.04
Li: 0.0070 0.9525 0.2654  4 F 2.00-2.14
Li: 0.5110 0.4659 0.2344  4 F 1.96-2.04
Li: 0.9930 0.0475 0.7346  4 F 2.00-2.14
Cu: 0.0000 0.5000 0.5000  4 F 1.93-1.95
Cu: 0.5000 0.0000 0.0000  4 F 1.90-1.98
Cu: 0.0000 0.5000 0.0000  4 F 1.94-1.99
Cu: 0.5000 0.0000 0.5000  4 F 1.94-1.96

Properties
Energy above the lowest structure with this stoichiometry, eV/atom: 0.006
Symmetry: No. 2
Calculated volume, Å³ per atom: 10.8

[4]
Material: Si2BiO6
Method: DFT, PBE
State: optimized geometry

a b c (Å): 5.2403 10.7717 19.7980
angles (deg): 90.00 90.00 90.00
Closest atoms and distances in Å follow each position.
Fractional positions:
O: 0.6607 0.2701 0.2957  2 Si 1.64-1.65
O: 0.8393 0.7701 0.7043  2 Si 1.64-1.65
O: 0.2662 0.1655 0.0618  1 Si 1.64
O: 0.5243 0.2378 0.9527  2 Si 1.64-1.65
O: 0.4757 0.7622 0.0473  2 Si 1.64-1.65
O: 0.1280 0.3391 0.6893  1 Si 1.64
O: 0.3482 0.9627 0.1917  1 Si 1.64
O: 0.6280 0.6609 0.8107  1 Si 1.64
O: 0.1280 0.8391 0.8107  1 Si 1.64
O: 0.7694 0.4669 0.4471  1 Si 1.64
O: 0.7338 0.8345 0.9382  1 Si 1.64
O: 0.7306 0.9669 0.5529  1 Si 1.64
O: 0.6607 0.7701 0.2043  2 Si 1.64-1.65
O: 0.6518 0.5373 0.6917  1 Si 1.64
O: 0.8482 0.0373 0.3083  1 Si 1.64
O: 0.1518 0.9627 0.6917  1 Si 1.64
O: 0.2662 0.6655 0.4382  1 Si 1.64
O: 0.7694 0.9669 0.0529  1 Si 1.64
O: 0.1607 0.7299 0.2043  2 Si 1.64-1.65
O: 0.2338 0.6655 0.9382  1 Si 1.64
O: 0.8393 0.2701 0.7957  2 Si 1.64-1.65
O: 0.6280 0.1609 0.6893  1 Si 1.64
O: 0.3393 0.2299 0.7957  2 Si 1.64-1.65
O: 0.6518 0.0373 0.8083  1 Si 1.64
O: 0.7306 0.4669 0.9471  1 Si 1.64
O: 0.7338 0.3345 0.5618  1 Si 1.64
O: 0.9757 0.2378 0.4527  2 Si 1.64-1.65
O: 0.7662 0.8345 0.4382  1 Si 1.64
O: 0.2694 0.0331 0.4471  1 Si 1.64
O: 0.3393 0.7299 0.7043  2 Si 1.64-1.65
O: 0.1607 0.2299 0.2957  2 Si 1.64-1.65
O: 0.4757 0.2622 0.4527  2 Si 1.64-1.65
O: 0.2694 0.5331 0.0529  1 Si 1.64
O: 0.8482 0.5373 0.1917  1 Si 1.64
O: 0.3720 0.8391 0.3107  1 Si 1.64
O: 0.8720 0.1609 0.1893  1 Si 1.64
O: 0.3482 0.4627 0.3083  1 Si 1.64
O: 0.9757 0.7378 0.0473  2 Si 1.64-1.65
O: 0.0243 0.7622 0.5473  2 Si 1.64-1.65
O: 0.2306 0.0331 0.9471  1 Si 1.64
O: 0.3720 0.3391 0.1893  1 Si 1.64
O: 0.0243 0.2622 0.9527  2 Si 1.64-1.65
O: 0.2306 0.5331 0.5529  1 Si 1.64
O: 0.7662 0.3345 0.0618  1 Si 1.64
O: 0.5243 0.7378 0.5473  2 Si 1.64-1.65
O: 0.2338 0.1655 0.5618  1 Si 1.64
O: 0.1518 0.4627 0.8083  1 Si 1.64
O: 0.8720 0.6609 0.3107  1 Si 1.64
Si: 0.6163 0.1728 0.7718  4 O 1.64-1.65
Si: 0.7579 0.8270 0.5210  4 O 1.64-1.65
Si: 0.3837 0.3272 0.2718  4 O 1.64-1.65
Si: 0.8837 0.1728 0.2718  4 O 1.64-1.65
Si: 0.7579 0.3270 0.9790  4 O 1.64-1.65
Si: 0.7421 0.3270 0.4790  4 O 1.64-1.65
Si: 0.1163 0.3272 0.7718  4 O 1.64-1.65
Si: 0.1163 0.8272 0.7282  4 O 1.64-1.65
Si: 0.3837 0.8272 0.2282  4 O 1.64-1.65
Si: 0.7421 0.8270 0.0210  4 O 1.64-1.65
Si: 0.2579 0.1730 0.9790  4 O 1.64-1.65
Si: 0.6163 0.6728 0.7282  4 O 1.64-1.65
Si: 0.2421 0.6730 0.0210  4 O 1.64-1.65
Si: 0.2579 0.6730 0.5210  4 O 1.64-1.65
Si: 0.2421 0.1730 0.4790  4 O 1.64-1.65
Si: 0.8837 0.6728 0.2282  4 O 1.64-1.65
Bi: 0.9379 0.4620 0.6232  4 O 2.11-2.21
Bi: 0.5621 0.9620 0.3768  4 O 2.11-2.21
Bi: 0.9379 0.9620 0.8768  4 O 2.11-2.21
Bi: 0.0621 0.0380 0.1232  4 O 2.11-2.21
Bi: 0.0621 0.5380 0.3768  4 O 2.11-2.21
Bi: 0.4379 0.0380 0.6232  4 O 2.11-2.21
Bi: 0.5621 0.4620 0.1232  4 O 2.11-2.21
Bi: 0.4379 0.5380 0.8768  4 O 2.11-2.21

Properties
Energy above the lowest structure with this stoichiometry, eV/atom: 0.068
Symmetry: No. 61
Calculated volume, Å³ per atom: 15.5

[5]
Material: Ba2BiSbO6
Method: DFT, PBE
State: optimized geometry

a b c (Å): 6.1030 6.1030 6.1030
angles (deg): 60.48 60.48 60.48
Closest atoms and distances in Å follow each position.
Fractional positions:
O: 0.3150 0.7287 0.2211  1 Sb 2.03
O: 0.2713 0.7789 0.6850  1 Sb 2.03
O: 0.6850 0.2713 0.7789  1 Sb 2.03
O: 0.7789 0.6850 0.2713  1 Sb 2.03
O: 0.7287 0.2211 0.3150  1 Sb 2.03
O: 0.2211 0.3150 0.7287  1 Sb 2.03
Bi: 0.0000 0.0000 0.0000  6 O 2.34
Sb: 0.5000 0.5000 0.5000  6 O 2.03
Ba: 0.7487 0.7487 0.7487  9 O 2.79-3.11
Ba: 0.2513 0.2513 0.2513  9 O 2.79-3.11

Properties
Symmetry: No. 148
Final energy, eV/atom: -6.20
Calculated volume, Å³ per atom: 16.2

[6]
Material: Ba2CaSeO6
Method: DFT, PBE
State: optimized geometry

a b c (Å): 5.8778 5.8778 5.8778
angles (deg): 60.00 60.00 60.00
Closest atoms and distances in Å follow each position.
Fractional positions:
Ba: 0.7500 0.7500 0.7500  12 O 2.95
Ba: 0.2500 0.2500 0.2500  12 O 2.95
O: 0.2778 0.7222 0.7222  1 Se 1.85
O: 0.2778 0.7222 0.2778  1 Se 1.85
O: 0.2778 0.2778 0.7222  1 Se 1.85
O: 0.7222 0.2778 0.2778  1 Se 1.85
O: 0.7222 0.7222 0.2778  1 Se 1.85
O: 0.7222 0.2778 0.7222  1 Se 1.85
Ca: 0.0000 0.0000 0.0000  6 O 2.31
Se: 0.5000 0.5000 0.5000  6 O 1.85

Properties
Symmetry: No. 225
Final energy, eV/atom: -6.04
Calculated volume, Å³ per atom: 14.4

[7]
Material: CaGaGe
Method: DFT, PBE
State: optimized geometry

a b c (Å): 4.2443 4.2443 17.6426
angles (deg): 90.00 90.00 120.00
Closest atoms and distances in Å follow each position.
Fractional positions:
Ge: 0.6667 0.3333 0.8901  3 Ga 2.56
Ge: 0.6667 0.3333 0.6099  3 Ga 2.56
Ge: 0.3333 0.6667 0.3901  3 Ga 2.56
Ge: 0.3333 0.6667 0.1099  3 Ga 2.56
Ga: 0.6667 0.3333 0.1521  3 Ge 2.56
Ga: 0.3333 0.6667 0.8479  3 Ge 2.56
Ga: 0.6667 0.3333 0.3479  3 Ge 2.56
Ga: 0.3333 0.6667 0.6521  3 Ge 2.56
Ca: 0.0000 0.0000 0.2500  6 Ga 3.00
Ca: 0.0000 0.0000 0.7500  6 Ga 3.00
Ca: 0.0000 0.0000 0.0000  6 Ge 3.12
Ca: 0.0000 0.0000 0.5000  6 Ge 3.12

Properties
Symmetry: No. 194
Final energy, eV/atom: -3.74
Calculated volume, Å³ per atom: 22.9

> Which formula does entry 6 have?

Ba2CaSeO6

> The lowest calculated volume belongs to which entry?

LiCuF3

> Among the records above, which one has the highest calculated volume?

CaGaGe